# MgZn

Crystalline MgZn at its relaxed geometry (PBE-GGA, the Materials Project).

Values from the calculation:
E_form: -0.01 eV per atom
V: 19.13 Å³/atom
E_tot: -1.44 eV per atom

CIF file:
```
data_MgZn
_chemical_formula_sum 'Mg3 Zn3'
_cell_length_a 3.1652
_cell_length_b 3.1652
_cell_length_c 13.2289
_cell_angle_alpha 90.00
_cell_angle_beta 90.00
_cell_angle_gamma 120.00
_symmetry_space_group_name_H-M 'R -3 m'
_symmetry_Int_Tables_number 166
_symmetry_space_group_name_Hall '-R 3 2"'
loop_
_atom_site_label
_atom_site_type_symbol
_atom_site_fract_x
_atom_site_fract_y
_atom_site_fract_z
Mg1 Mg 0.0000 0.0000 0.0000
Zn1 Zn 0.0000 0.0000 0.5000
```

=====

# TbPO4

Crystalline TbPO4 at its relaxed geometry (PBE-GGA, the Materials Project).

Values from the calculation:
E_form: -3.50 eV per atom
V: 12.40 Å³/atom
E_tot: -8.02 eV per atom

CIF file:
```
data_TbPO4
_chemical_formula_sum 'Tb4 P4 O16'
_cell_length_a 6.994
_cell_length_b 6.994
_cell_length_c 6.083
_cell_angle_alpha 90.00
_cell_angle_beta 90.00
_cell_angle_gamma 90.00
_symmetry_space_group_name_H-M 'I 41/a m d'
_symmetry_Int_Tables_number 141
loop_
_symmetry_equiv_pos_as_xyz
'x,y,z'
'-x,-y,-z'
'-y+1/4,x+3/4,z+1/4'
'y+1/4,-x+3/4,-z+1/4'
'-x+1/2,-y,z+1/2'
'x+1/2,y,-z+1/2'
'y+1/4,-x+1/4,z+3/4'
'-y+1/4,x+1/4,-z+3/4'
'x,-y,-z'
'-x,y,z'
'-y+1/4,-x+1/4,-z+3/4'
'y+1/4,x+1/4,z+3/4'
'-x+1/2,y,-z+1/2'
'x+1/2,-y,z+1/2'
'y+1/4,x+3/4,-z+1/4'
'-y+1/4,-x+3/4,z+1/4'
'x+1/2,y+1/2,z+1/2'
'-x+1/2,-y+1/2,-z+1/2'
'-y+3/4,x+1/4,z+3/4'
'y+3/4,-x+1/4,-z+3/4'
'-x,-y+1/2,z'
'x,y+1/2,-z'
'y+3/4,-x+3/4,z+1/4'
'-y+3/4,x+3/4,-z+1/4'
'x+1/2,-y+1/2,-z+1/2'
'-x+1/2,y+1/2,z+1/2'
'-y+3/4,-x+3/4,-z+1/4'
'y+3/4,x+3/4,z+1/4'
'-x,y+1/2,-z'
'x,-y+1/2,z'
'y+3/4,x+1/4,-z+3/4'
'-y+3/4,-x+1/4,z+3/4'
loop_
_atom_site_label
_atom_site_type_symbol
_atom_site_fract_x
_atom_site_fract_y
_atom_site_fract_z
Tb1 Tb 0.000 0.250 0.375
P1 P 0.000 0.250 0.875
O1 O 0.000 0.076 0.716
```

=====

# SiO2

Crystalline SiO2 at its relaxed geometry (PBE-GGA, the Materials Project).

Values from the calculation:
E_form: -3.26 eV per atom
V: 19.64 Å³/atom
E_tot: -7.91 eV per atom

CIF file:
```
data_SiO2
_chemical_formula_sum 'Si96 O192'
_cell_length_a 20.385
_cell_length_b 20.385
_cell_length_c 13.614
_cell_angle_alpha 90.00
_cell_angle_beta 90.00
_cell_angle_gamma 90.00
_symmetry_space_group_name_H-M 'I -4'
_symmetry_Int_Tables_number 82
_symmetry_space_group_name_Hall 'I -4'
loop_
_atom_site_label
_atom_site_type_symbol
_atom_site_fract_x
_atom_site_fract_y
_atom_site_fract_z
Si1 Si 0.075 0.310 0.499
Si2 Si 0.076 0.224 0.149
Si3 Si 0.076 0.379 0.148
Si4 Si 0.076 0.620 0.140
Si5 Si 0.076 0.694 0.486
Si6 Si 0.077 0.077 0.505
Si7 Si 0.077 0.774 0.138
Si8 Si 0.121 0.814 0.350
Si9 Si 0.122 0.190 0.361
Si10 Si 0.185 0.807 0.985
Si11 Si 0.186 0.279 0.650
Si12 Si 0.193 0.721 0.631
O1 O 0.000 0.090 0.523
O2 O 0.000 0.216 0.117
O3 O 0.001 0.387 0.110
O4 O 0.001 0.697 0.529
O5 O 0.083 0.412 0.256
O6 O 0.086 0.624 0.430
O7 O 0.086 0.754 0.408
O8 O 0.087 0.189 0.254
O9 O 0.088 0.381 0.447
O10 O 0.095 0.697 0.154
O11 O 0.096 0.251 0.425
O12 O 0.096 0.302 0.156
O13 O 0.097 0.884 0.396
O14 O 0.100 0.814 0.236
O15 O 0.104 0.121 0.413
O16 O 0.116 0.803 0.043
O17 O 0.118 0.305 0.600
O18 O 0.122 0.189 0.067
O19 O 0.125 0.700 0.579
O20 O 0.183 0.301 0.764
O21 O 0.187 0.749 0.903
O22 O 0.193 0.200 0.638
O23 O 0.196 0.799 0.652
O24 O 0.200 0.246 0.938
```